{"formula": "BaPrMgMn2O6", "functional": "PBE with a Hubbard U", "state": "optimized geometry", "density_kg_m3": 4887, "volume_a3_per_atom": 15.7, "relative_energy_mev_per_atom": 145, "delta_e_f_ev_per_fu": -28.01, "spacegroup": "P4mm, No. 99", "lattice": [[3.920, 0.000, 0.000], [0.000, 3.920, 0.000], [0.000, 0.000, 11.239]], "species": ["O", "O", "O", "O", "O", "O", "Pr", "Mn", "Mn", "Mg", "Ba"], "fractional_positions": [[0.000, 0.500, 0.718], [0.500, 0.000, 0.256], [0.500, 0.500, 0.070], [0.500, 0.500, 0.475], [0.000, 0.500, 0.256], [0.500, 0.000, 0.718], [0.000, 0.000, 0.117], [0.500, 0.500, 0.269], [0.500, 0.500, 0.663], [0.000, 0.000, 0.756], [0.000, 0.000, 0.452]]}